{"formula": "ZnGaFeO4", "functional": "GGA+U", "state": "relaxed", "total_magnetization_mub_per_fu": 0.0, "formation_enthalpy_0k_ev_per_atom": -1.956, "cell": [[-5.2856, -2.2635, 1.7227], [-2.3696, 1.4840, -5.3207], [2.2379, -7.5967, -3.1154]], "species": ["Zn", "Zn", "Zn", "Zn", "Ga", "Ga", "Ga", "Ga", "Fe", "Fe", "Fe", "Fe", "O", "O", "O", "O", "O", "O", "O", "O", "O", "O", "O", "O", "O", "O", "O", "O"], "frac_coords": [[0.0000, 0.2500, 0.1242], [0.5000, 0.7500, 0.6242], [0.5000, 0.2500, 0.3758], [0.0000, 0.7500, 0.8758], [0.7500, 0.7500, 0.2500], [0.2500, 0.2500, 0.7500], [0.2500, 0.7500, 0.2500], [0.7500, 0.2500, 0.7500], [0.0000, 0.5000, 0.5000], [0.5000, 0.5000, 0.0000], [0.5000, 0.0000, 0.0000], [0.0000, 0.0000, 0.5000], [0.2297, 0.7500, 0.4875], [0.7297, 0.2500, 0.9875], [0.7703, 0.7500, 0.4875], [0.2703, 0.2500, 0.9875], [0.2703, 0.7500, 0.0125], [0.7703, 0.2500, 0.5125], [0.7297, 0.7500, 0.0125], [0.2297, 0.2500, 0.5125], [0.0000, 0.9755, 0.2598], [0.5000, 0.4755, 0.7598], [0.0000, 0.5245, 0.2598], [0.5000, 0.0245, 0.7598], [0.5000, 0.5245, 0.2402], [0.0000, 0.0245, 0.7402], [0.5000, 0.9755, 0.2402], [0.0000, 0.4755, 0.7402]]}